[1]
The following is a PBE-GGA calculation of InCuSe2 after structural relaxation, from Materials Project.

ΔH_f (0 K), eV per atom: -0.669
Largest piezoelectric modulus, C/m²: 0.2
Space group: I-42d (122)

Cell: 7.2184 7.2184 7.2184 Å, 131.94 131.94 70.32°
Fractional positions:
1 In 0.0000 0.0000 0.0000
2 In 0.7500 0.2500 0.5000
3 Cu 0.2500 0.7500 0.5000
4 Cu 0.5000 0.5000 0.0000
5 Se 0.1556 0.6250 0.0306
6 Se 0.3750 0.4056 0.5306
7 Se 0.5944 0.1250 0.9694
8 Se 0.8750 0.8444 0.4694

***

[2]
The following is a PBE-GGA calculation of Ho2ZnCu after structural relaxation, from Materials Project.

ΔH_f (0 K), eV per atom: -0.294
Space group: Fm-3m (225)

Cell: 4.9447 4.9447 4.9447 Å, 60.00 60.00 60.00°
Fractional positions:
1 Ho 0.2500 0.2500 0.2500
2 Ho 0.7500 0.7500 0.7500
3 Zn 0.0000 0.0000 0.0000
4 Cu 0.5000 0.5000 0.5000

***

[3]
The following is a PBE-GGA calculation of HfGaPS2O12 after structural relaxation, from Materials Project.

Total moment, μB/f.u.: 0.000
ΔH_f (0 K), eV per atom: -2.480
Space group: Cc (9)

Cell: 8.6936 8.6936 22.5109 Å, 90.44 90.44 60.20°
Fractional positions:
1 Hf 0.0009 0.9991 0.5000
2 Hf 0.3259 0.3453 0.1667
3 Hf 0.3453 0.3259 0.6667
4 Hf 0.6641 0.6674 0.8334
5 Hf 0.6674 0.6641 0.3334
6 Hf 0.9991 0.0009 0.0000
7 Ga 0.0083 0.9789 0.2890
8 Ga 0.3390 0.3480 0.4562
9 Ga 0.3480 0.3390 0.9562
10 Ga 0.6658 0.6679 0.1229
11 Ga 0.6679 0.6658 0.6229
12 Ga 0.9789 0.0083 0.7890
13 P 0.2827 0.7071 0.3924
14 P 0.3457 0.6183 0.0595
15 P 0.6183 0.3457 0.5595
16 P 0.6779 0.9433 0.7250
17 P 0.7071 0.2827 0.8924
18 P 0.9433 0.6779 0.2250
19 S 0.0102 0.7048 0.8923
20 S 0.0110 0.2815 0.3923
21 S 0.0404 0.6157 0.5593
22 S 0.0418 0.3424 0.0582
23 S 0.2815 0.0110 0.8923
24 S 0.3424 0.0418 0.5582
25 S 0.3688 0.6791 0.7261
26 S 0.3723 0.9528 0.2257
27 S 0.6157 0.0404 0.0593
28 S 0.6791 0.3688 0.2261
29 S 0.7048 0.0102 0.3923
30 S 0.9528 0.3723 0.7257
31 O 0.0237 0.7939 0.5517
32 O 0.0246 0.1808 0.0517
33 O 0.0343 0.1744 0.3387
34 O 0.0403 0.7844 0.8394
35 O 0.1196 0.5063 0.5058
36 O 0.1250 0.3665 0.0052
37 O 0.1282 0.3589 0.7176
38 O 0.1286 0.5105 0.2172
39 O 0.1533 0.5375 0.6125
40 O 0.1558 0.3053 0.1119
41 O 0.1622 0.5273 0.9016
42 O 0.1661 0.3022 0.4027
43 O 0.1683 0.7929 0.3371
44 O 0.1744 0.0343 0.8387
45 O 0.1789 0.8014 0.0497
46 O 0.1808 0.0246 0.5517
47 O 0.1946 0.8346 0.7366
48 O 0.1947 0.9770 0.2348
49 O 0.1992 0.8269 0.4475
50 O 0.2043 0.9731 0.9454
51 O 0.3022 0.1661 0.9027
52 O 0.3018 0.5244 0.4012
53 O 0.3053 0.1558 0.6119
54 O 0.3077 0.5340 0.1140
55 O 0.3499 0.5188 0.7186
56 O 0.3589 0.1282 0.2176
57 O 0.3665 0.1250 0.5052
58 O 0.3734 0.5031 0.0043
59 O 0.4503 0.7047 0.6730
60 O 0.4513 0.8416 0.1725
61 O 0.4600 0.8495 0.8852
62 O 0.4673 0.6887 0.3831
63 O 0.4861 0.6392 0.7791
64 O 0.4865 0.8726 0.2790
65 O 0.4963 0.8656 0.5673
66 O 0.5031 0.3734 0.5043
67 O 0.5063 0.1196 0.0058
68 O 0.5076 0.6393 0.0715
69 O 0.5105 0.1286 0.7172
70 O 0.5188 0.3499 0.2186
71 O 0.5244 0.3018 0.9012
72 O 0.5273 0.1622 0.4016
73 O 0.5340 0.3077 0.6140
74 O 0.5375 0.1533 0.1125
75 O 0.6381 0.8632 0.0673
76 O 0.6392 0.4861 0.2791
77 O 0.6393 0.5076 0.5715
78 O 0.6420 0.8617 0.7802
79 O 0.6887 0.4673 0.8831
80 O 0.6899 0.8479 0.3849
81 O 0.7021 0.8299 0.6693
82 O 0.7047 0.4503 0.1730
83 O 0.7844 0.0403 0.3394
84 O 0.7929 0.1683 0.8371
85 O 0.7939 0.0237 0.0517
86 O 0.8014 0.1789 0.5497
87 O 0.8193 0.9748 0.4455
88 O 0.8269 0.1992 0.9475
89 O 0.8299 0.7021 0.1693
90 O 0.8346 0.1946 0.2366
91 O 0.8398 0.9657 0.7339
92 O 0.8416 0.4513 0.6725
93 O 0.8479 0.6899 0.8849
94 O 0.8495 0.4600 0.3852
95 O 0.8617 0.6420 0.2802
96 O 0.8632 0.6381 0.5673
97 O 0.8656 0.4963 0.0673
98 O 0.8726 0.4865 0.7790
99 O 0.9657 0.8398 0.2339
100 O 0.9731 0.2043 0.4454
101 O 0.9748 0.8193 0.9455
102 O 0.9770 0.1947 0.7348

***

[4]
The following is a PBE-GGA calculation of Te2MoW3Se6 after structural relaxation, from Materials Project.

Total moment, μB/f.u.: 0.000
Relative energy among the computed polymorphs, meV per atom: 20
ΔH_f (0 K), eV per atom: -0.680
Space group: P3m1 (156)

Cell: 3.3810 3.3810 38.6430 Å, 90.00 90.00 120.00°
Fractional positions:
1 Te 0.0000 0.0000 0.0000
2 Te 0.0000 0.0000 0.0978
3 Mo 0.6667 0.3333 0.6732
4 W 0.0000 0.0000 0.2368
5 W 0.0000 0.0000 0.8610
6 W 0.6667 0.3333 0.0489
7 Se 0.0000 0.0000 0.6303
8 Se 0.0000 0.0000 0.7160
9 Se 0.6667 0.3333 0.1938
10 Se 0.6667 0.3333 0.2798
11 Se 0.6667 0.3333 0.8180
12 Se 0.6667 0.3333 0.9040

***

[5]
The following is a PBE-GGA calculation of CeP2Ru2 after structural relaxation, from Materials Project.

ΔH_f (0 K), eV per atom: -1.024
Space group: I4/mmm (139)

Cell: 5.6796 5.6796 5.6796 Å, 137.95 137.95 60.98°
Fractional positions:
1 Ce 0.0000 0.0000 0.0000
2 P 0.3735 0.3735 0.0000
3 P 0.6265 0.6265 0.0000
4 Ru 0.2500 0.7500 0.5000
5 Ru 0.7500 0.2500 0.5000

***

[6]
The following is a PBE-GGA calculation of Ba6Ti7Nb9O42 after structural relaxation, from Materials Project.

Total moment, μB/f.u.: 0.000
ΔH_f (0 K), eV per atom: -3.323
Space group: Cm (8)

Cell: 9.2025 9.2025 11.9486 Å, 90.01 90.01 119.89°
Fractional positions:
1 Ba 0.0000 0.0000 0.0000
2 Ba 0.4002 0.9994 0.4947
3 Ba 0.4035 0.8101 0.9997
4 Ba 0.8101 0.4035 0.9997
5 Ba 0.8151 0.8151 0.4938
6 Ba 0.9994 0.4002 0.4947
7 Ti 0.1534 0.1534 0.3357
8 Ti 0.1594 0.4000 0.1548
9 Ti 0.1654 0.1654 0.6446
10 Ti 0.4000 0.1594 0.1548
11 Ti 0.4040 0.6454 0.6512
12 Ti 0.6454 0.4040 0.6512
13 Ti 0.6459 0.6459 0.1517
14 Nb 0.0692 0.7393 0.2392
15 Nb 0.0707 0.7372 0.7356
16 Nb 0.1564 0.4021 0.8398
17 Nb 0.4013 0.6480 0.3378
18 Nb 0.4021 0.1564 0.8398
19 Nb 0.6480 0.4013 0.3378
20 Nb 0.6523 0.6523 0.8384
21 Nb 0.7372 0.0707 0.7356
22 Nb 0.7393 0.0692 0.2392
23 O 0.0884 0.5725 0.8453
24 O 0.0909 0.9235 0.3431
25 O 0.0920 0.9246 0.6449
26 O 0.0931 0.5710 0.1480
27 O 0.1916 0.1916 0.4931
28 O 0.1971 0.4031 0.9971
29 O 0.1999 0.1999 0.8195
30 O 0.1999 0.4037 0.3189
31 O 0.2024 0.2024 0.1721
32 O 0.2040 0.4035 0.6688
33 O 0.2350 0.9191 0.8460
34 O 0.2356 0.7203 0.3474
35 O 0.2374 0.7161 0.6447
36 O 0.2366 0.9244 0.1432
37 O 0.4031 0.1971 0.9971
38 O 0.4035 0.2040 0.6688
39 O 0.4037 0.1999 0.3189
40 O 0.4036 0.6089 0.8188
41 O 0.4038 0.6095 0.4963
42 O 0.4053 0.6053 0.1692
43 O 0.5704 0.8828 0.6451
44 O 0.5710 0.0931 0.1480
45 O 0.5725 0.0884 0.8453
46 O 0.5730 0.8876 0.3454
47 O 0.6053 0.4053 0.1692
48 O 0.6053 0.6053 0.6692
49 O 0.6089 0.4036 0.8188
50 O 0.6095 0.4038 0.4963
51 O 0.6100 0.6100 0.3192
52 O 0.6102 0.6102 0.9963
53 O 0.7161 0.2374 0.6447
54 O 0.7158 0.8830 0.1444
55 O 0.7203 0.2356 0.3474
56 O 0.7195 0.8886 0.8460
57 O 0.8828 0.5704 0.6451
58 O 0.8830 0.7158 0.1444
59 O 0.8876 0.5730 0.3454
60 O 0.8886 0.7195 0.8460
61 O 0.9191 0.2350 0.8460
62 O 0.9235 0.0909 0.3431
63 O 0.9244 0.2366 0.1432
64 O 0.9246 0.0920 0.6449

***

Number 1: calculated volume 102.0 Å³/f.u.. Number 2: calculated volume 85.5 Å³/f.u.. Number 3: calculated volume 246.1 Å³/f.u.. Number 4: calculated volume 382.5 Å³/f.u.. Number 5: calculated volume 81.3 Å³/f.u.. Number 6: calculated volume 877.3 Å³/f.u..